First-principles (r²SCAN) data for a relaxed structure of CeSi3N5, as listed in the Materials Project database.

```
CeSi3N5
1.0
4.794 0.000 0.000
0.000 7.834 0.000
0.000 0.000 11.251
Ce Si N
4 12 20
Cartesian
0.004 3.455 9.341
2.393 4.379 3.716
4.790 7.372 7.535
2.401 0.462 1.910
4.688 4.173 6.089
2.461 1.269 9.444
2.480 2.297 6.561
2.314 6.214 10.315
4.730 6.564 3.819
0.083 1.619 4.690
0.106 0.256 10.788
2.291 7.577 5.162
2.333 5.186 7.432
4.711 5.536 0.936
0.064 2.648 1.807
2.503 3.661 0.463
0.787 2.301 3.314
0.816 0.863 9.362
3.916 0.143 4.581
1.519 3.774 6.670
1.581 6.971 3.736
1.430 1.178 5.734
3.978 4.780 7.515
4.577 5.157 4.738
3.213 3.054 1.889
2.180 6.593 6.513
3.364 5.094 11.143
0.967 6.656 0.108
0.878 4.060 1.044
3.184 1.616 7.937
4.007 6.218 2.312
3.827 2.739 5.517
0.217 1.240 0.888
2.614 2.677 10.363
3.275 7.691 10.207
1.610 5.533 8.939
```

Calculated values
As for the crystal system: orthorhombic. The value obtained for the formation energy from the elements is -1.490 eV/atom.